K9BiP4S16: relaxed, PBE.

Cell lengths 9.0929, 18.6077, 9.7962 Å; angles 90.00, 90.00, 90.00 degrees
Fractional positions:
K 0.0000 0.0000 0.2318
K 0.0030 0.2493 0.7536
K 0.0203 0.2324 0.2381
K 0.1289 0.4146 0.5170
K 0.1429 0.5762 0.0025
K 0.3571 0.0762 0.9975
K 0.3711 0.9146 0.4830
K 0.4797 0.7324 0.7619
K 0.4970 0.7493 0.2464
K 0.5000 0.5000 0.7682
K 0.5030 0.2507 0.2464
K 0.5203 0.2676 0.7619
K 0.6289 0.0854 0.4830
K 0.6429 0.9238 0.9975
K 0.8571 0.4238 0.0025
K 0.8711 0.5854 0.5170
K 0.9797 0.7676 0.2381
K 0.9970 0.7507 0.7536
Bi 0.0000 0.0000 0.7226
Bi 0.5000 0.5000 0.2774
P 0.2087 0.1222 0.5094
P 0.2290 0.8646 0.9780
P 0.2710 0.3646 0.0220
P 0.2913 0.6222 0.4906
P 0.7087 0.3778 0.4906
P 0.7290 0.6354 0.0220
P 0.7710 0.1354 0.9780
P 0.7913 0.8778 0.5094
S 0.0095 0.8960 0.9443
S 0.0193 0.8909 0.5172
S 0.1473 0.3969 0.1840
S 0.1934 0.4138 0.8494
S 0.2039 0.5821 0.6662
S 0.2139 0.5576 0.3324
S 0.2323 0.7552 0.0017
S 0.2377 0.7277 0.4727
S 0.2623 0.2277 0.5273
S 0.2677 0.2552 0.9983
S 0.2861 0.0576 0.6676
S 0.2961 0.0821 0.3338
S 0.3066 0.9138 0.1506
S 0.3527 0.8969 0.8160
S 0.4807 0.3909 0.4828
S 0.4905 0.3960 0.0557
S 0.5095 0.6040 0.0557
S 0.5193 0.6091 0.4828
S 0.6473 0.1031 0.8160
S 0.6934 0.0862 0.1506
S 0.7039 0.9179 0.3338
S 0.7139 0.9424 0.6676
S 0.7323 0.7448 0.9983
S 0.7377 0.7723 0.5273
S 0.7623 0.2723 0.4727
S 0.7677 0.2448 0.0017
S 0.7861 0.4424 0.3324
S 0.7961 0.4179 0.6662
S 0.8066 0.5862 0.8494
S 0.8527 0.6031 0.1840
S 0.9807 0.1091 0.5172
S 0.9905 0.1040 0.9443

Summary:
VASP energy: -256.1 eV for the cell shown

=====

KBiPb: relaxed, PBE.

Cell lengths 6.9973, 6.9973, 6.9973 Å; angles 123.72, 119.57, 87.21 degrees
Fractional positions:
K 0.0000 0.0000 0.0000
K 0.7479 0.2479 0.5000
Bi 0.3764 0.6080 0.7684
Bi 0.8396 0.6080 0.2316
Pb 0.3877 0.1456 0.7578
Pb 0.3877 0.6299 0.2422

Summary:
VASP energy: -19.2 eV for the cell shown

=====

KBi3S5: relaxed, PBE.

Cell lengths 16.9891, 4.1127, 17.4715 Å; angles 90.00, 90.00, 90.00 degrees
Fractional positions:
K 0.0007 0.2500 0.2099
K 0.4993 0.7500 0.7099
K 0.5007 0.2500 0.2901
K 0.9993 0.7500 0.7901
Bi 0.0835 0.7500 0.4313
Bi 0.1600 0.2500 0.6244
Bi 0.2393 0.2500 0.2901
Bi 0.2607 0.7500 0.7901
Bi 0.3400 0.7500 0.1244
Bi 0.4165 0.2500 0.9313
Bi 0.5835 0.7500 0.0687
Bi 0.6600 0.2500 0.8756
Bi 0.7393 0.2500 0.2099
Bi 0.7607 0.7500 0.7099
Bi 0.8400 0.7500 0.3756
Bi 0.9165 0.2500 0.5687
S 0.0388 0.7500 0.5999
S 0.1250 0.7500 0.2807
S 0.1439 0.2500 0.7831
S 0.1877 0.2500 0.4607
S 0.2309 0.2500 0.1373
S 0.2691 0.7500 0.6373
S 0.3123 0.7500 0.9607
S 0.3561 0.7500 0.2831
S 0.3750 0.2500 0.7807
S 0.4612 0.2500 0.0999
S 0.5388 0.7500 0.9001
S 0.6250 0.7500 0.2193
S 0.6439 0.2500 0.7169
S 0.6877 0.2500 0.0393
S 0.7309 0.2500 0.3627
S 0.7691 0.7500 0.8627
S 0.8123 0.7500 0.5393
S 0.8561 0.7500 0.2169
S 0.8750 0.2500 0.7193
S 0.9612 0.2500 0.4001

Summary:
VASP energy: -153.4 eV for the cell shown